[1]
Compound: Pm2ZnOs
Source: the Materials Project database
Functional: meta-GGA r2SCAN
Structure: relaxed

Cell lengths 7.0919, 7.0919, 7.0919 Å; angles 90.00, 90.00, 90.00 degrees
Space group Fm-3m (No. 225)
Symmetry-distinct sites (fractional):
1 Pm 0.2500 0.2500 0.2500 x8
2 Zn 0.0000 0.0000 0.0000 x4
3 Os 0.0000 0.0000 0.5000 x4

Output
The formation enthalpy at 0 K is -84 kJ/mol of formula units.

[2]
Compound: PrOs2
Source: the Materials Project database
Functional: meta-GGA r2SCAN
Structure: relaxed

Cell lengths 5.3491, 5.3491, 9.2096 Å; angles 90.00, 90.00, 120.00 degrees
Space group P6_3/mmc (No. 194)
Symmetry-distinct sites (fractional):
1 Pr 0.3333 0.6667 0.0647 x4
2 Os 0.0000 0.0000 0.0000 x2
3 Os 0.1693 0.3386 0.7500 x6

Output
The energy above the most stable polymorph in this dataset comes out at 0.0 meV/atom. The formation enthalpy at 0 K is -31 kJ/mol of formula units.

[3]
Compound: PrOs2
Source: the Materials Project database
Functional: meta-GGA r2SCAN
Structure: relaxed

Cell lengths 7.7053, 7.7053, 7.7053 Å; angles 90.00, 90.00, 90.00 degrees
Space group Fd-3m (No. 227, origin choice 2)
Symmetry-distinct sites (fractional):
1 Pr 0.1250 0.1250 0.1250 x8
2 Os 0.0000 0.0000 0.5000 x16

Output
The energy above the most stable polymorph in this dataset comes out at 33.2 meV/atom. The formation enthalpy at 0 K is -21 kJ/mol of formula units.

[4]
Compound: PrSi2Os2
Source: the Materials Project database
Functional: meta-GGA r2SCAN
Structure: relaxed

Cell lengths 4.2183, 4.2183, 9.9005 Å; angles 90.00, 90.00, 90.00 degrees
Space group I4/mmm (No. 139)
Symmetry-distinct sites (fractional):
1 Pr 0.0000 0.0000 0.0000 x2
2 Si 0.0000 0.0000 0.3642 x4
3 Os 0.0000 0.5000 0.2500 x4

Output
The formation enthalpy at 0 K is -371 kJ/mol of formula units.